Entry 1:
Entry from Materials Project: an optimized crystal structure of DyPdPb (r²SCAN).

a b c (Å): 7.742 7.742 3.913
angles (deg): 90.00 90.00 120.00
Atoms (fractional coordinates):
Pd (0.000, 0.000, 0.500)
Pd (0.667, 0.333, 0.000)
Pd (0.333, 0.667, 0.000)
Pb (0.266, 0.000, 0.000)
Pb (0.734, 0.734, 0.000)
Pb (0.000, 0.266, 0.000)
Dy (0.401, 0.401, 0.500)
Dy (0.599, 0.000, 0.500)
Dy (0.000, 0.599, 0.500)

Results
Total energy ... -2.785 Ry/atom

=====

Entry 2:
Entry from Materials Project: an optimized crystal structure of HoRe2 (r²SCAN).

a b c (Å): 5.396 5.396 8.775
angles (deg): 90.00 90.00 120.00
Atoms (fractional coordinates):
Re (0.171, 0.829, 0.750)
Re (0.658, 0.829, 0.750)
Re (0.829, 0.171, 0.250)
Re (0.000, 0.000, 0.500)
Re (0.342, 0.171, 0.250)
Re (0.000, 0.000, 0.000)
Re (0.171, 0.342, 0.750)
Re (0.829, 0.658, 0.250)
Ho (0.667, 0.333, 0.937)
Ho (0.333, 0.667, 0.437)
Ho (0.667, 0.333, 0.563)
Ho (0.333, 0.667, 0.063)

Results
Total energy ... -3.396 Ry/atom

=====

Entry 3:
Entry from Materials Project: an optimized crystal structure of TbB2Ru (r²SCAN).

a b c (Å): 5.320 5.906 6.364
angles (deg): 90.00 90.00 90.00
Atoms (fractional coordinates):
Ru (0.750, 0.318, 0.318)
Ru (0.250, 0.182, 0.818)
Ru (0.750, 0.818, 0.182)
Ru (0.250, 0.682, 0.682)
Tb (0.250, 0.509, 0.163)
Tb (0.750, 0.991, 0.663)
Tb (0.750, 0.491, 0.837)
Tb (0.250, 0.009, 0.337)
B (0.585, 0.630, 0.460)
B (0.415, 0.370, 0.540)
B (0.915, 0.130, 0.040)
B (0.085, 0.370, 0.540)
B (0.585, 0.130, 0.040)
B (0.085, 0.870, 0.960)
B (0.415, 0.870, 0.960)
B (0.915, 0.630, 0.460)

Results
Total energy ... -1.359 Ry/atom

=====

Entry 4:
Entry from Materials Project: an optimized crystal structure of Tl6Si2O7 (r²SCAN).

a b c (Å): 9.707 9.707 7.931
angles (deg): 90.00 90.00 120.00
Atoms (fractional coordinates):
Si (0.667, 0.333, 0.833)
Si (0.333, 0.667, 0.585)
Si (0.333, 0.667, 0.167)
Si (0.667, 0.333, 0.415)
O (0.149, 0.553, 0.112)
O (0.851, 0.449, 0.359)
O (0.402, 0.851, 0.641)
O (0.149, 0.551, 0.641)
O (0.553, 0.404, 0.888)
O (0.551, 0.402, 0.359)
O (0.667, 0.333, 0.624)
O (0.447, 0.596, 0.112)
O (0.598, 0.149, 0.359)
O (0.449, 0.598, 0.641)
O (0.851, 0.447, 0.888)
O (0.596, 0.149, 0.888)
O (0.404, 0.851, 0.112)
O (0.333, 0.667, 0.376)
Tl (0.358, 0.307, 0.120)
Tl (0.642, 0.693, 0.880)
Tl (0.649, 0.685, 0.369)
Tl (0.315, 0.964, 0.369)
Tl (0.685, 0.036, 0.631)
Tl (0.950, 0.642, 0.120)
Tl (0.307, 0.950, 0.880)
Tl (0.693, 0.050, 0.120)
Tl (0.351, 0.315, 0.631)
Tl (0.036, 0.351, 0.369)
Tl (0.050, 0.358, 0.880)
Tl (0.964, 0.649, 0.631)

Results
Total energy ... -1.981 Ry/atom

=====

Entry 5:
Entry from Materials Project: an optimized crystal structure of Zr6NiTe2 (r²SCAN).

a b c (Å): 3.712 7.714 7.714
angles (deg): 120.00 90.00 90.00
Atoms (fractional coordinates):
Zr (0.000, 0.407, 0.407)
Zr (0.500, 0.762, 0.762)
Zr (0.500, 0.238, 0.000)
Zr (0.500, 0.000, 0.238)
Zr (0.000, 0.593, 0.000)
Zr (0.000, 0.000, 0.593)
Te (0.500, 0.333, 0.667)
Te (0.500, 0.667, 0.333)
Ni (0.000, 0.000, 0.000)

Results
Total energy ... -1.676 Ry/atom

=====

Entry 6:
Entry from Materials Project: an optimized crystal structure of Y3Ge6Pt4 (r²SCAN).

a b c (Å): 4.323 8.728 13.283
angles (deg): 80.53 90.00 90.00
Atoms (fractional coordinates):
Pt (0.250, 0.151, 0.911)
Pt (0.750, 0.849, 0.089)
Pt (0.250, 0.969, 0.626)
Pt (0.750, 0.354, 0.099)
Pt (0.750, 0.532, 0.375)
Pt (0.750, 0.031, 0.374)
Pt (0.250, 0.468, 0.625)
Pt (0.250, 0.646, 0.901)
Ge (0.250, 0.414, 0.434)
Ge (0.750, 0.127, 0.006)
Ge (0.250, 0.194, 0.723)
Ge (0.750, 0.882, 0.565)
Ge (0.250, 0.378, 0.001)
Ge (0.250, 0.118, 0.435)
Ge (0.250, 0.696, 0.718)
Ge (0.250, 0.873, 0.994)
Ge (0.750, 0.806, 0.277)
Ge (0.750, 0.304, 0.282)
Ge (0.750, 0.586, 0.566)
Ge (0.750, 0.622, 0.999)
Y (0.250, 0.765, 0.438)
Y (0.750, 0.410, 0.812)
Y (0.750, 0.235, 0.562)
Y (0.250, 0.066, 0.186)
Y (0.750, 0.934, 0.814)
Y (0.250, 0.590, 0.188)

Results
Total energy ... -2.050 Ry/atom

=====

Entry 7:
Entry from Materials Project: an optimized crystal structure of V3OF11 (r²SCAN).

a b c (Å): 5.031 5.342 14.102
angles (deg): 80.70 90.00 90.00
Atoms (fractional coordinates):
F (0.061, 0.323, 0.969)
F (0.561, 0.521, 0.365)
F (0.439, 0.689, 0.031)
F (0.042, 0.975, 0.634)
F (0.061, 0.656, 0.303)
F (0.141, 0.312, 0.452)
F (0.361, 0.708, 0.550)
F (0.862, 0.479, 0.118)
F (0.138, 0.979, 0.118)
F (0.857, 0.149, 0.780)
F (0.143, 0.649, 0.780)
F (0.939, 0.823, 0.969)
F (0.939, 0.156, 0.303)
F (0.639, 0.208, 0.550)
F (0.958, 0.475, 0.634)
F (0.561, 0.189, 0.031)
F (0.359, 0.034, 0.882)
F (0.360, 0.367, 0.216)
F (0.439, 0.021, 0.365)
F (0.859, 0.812, 0.452)
F (0.641, 0.534, 0.882)
F (0.640, 0.867, 0.216)
V (0.733, 0.099, 0.669)
V (0.750, 0.838, 0.334)
V (0.267, 0.599, 0.669)
V (0.250, 0.006, 0.000)
V (0.250, 0.338, 0.334)
V (0.750, 0.506, 0.000)
O (0.444, 0.343, 0.697)
O (0.556, 0.843, 0.697)

Results
Distance to the lowest polymorph of the same formula ... 0.000 eV/atom

=====

Entry 8:
Entry from Materials Project: an optimized crystal structure of Ba2Ir3O9 (r²SCAN).

a b c (Å): 8.220 8.220 8.220
angles (deg): 109.47 109.47 109.48
Atoms (fractional coordinates):
O (0.358, 0.000, 0.359)
O (0.721, 0.362, 0.672)
O (0.359, 0.310, 0.638)
O (0.641, 0.000, 0.642)
O (0.328, 0.690, 0.049)
O (0.310, 0.638, 0.359)
O (0.049, 0.328, 0.690)
O (0.641, 0.279, 0.951)
O (0.000, 0.642, 0.641)
O (0.672, 0.721, 0.362)
O (0.000, 0.359, 0.359)
O (0.279, 0.951, 0.641)
O (0.362, 0.672, 0.721)
O (0.642, 0.642, 0.000)
O (0.951, 0.641, 0.279)
O (0.638, 0.359, 0.310)
O (0.359, 0.359, 0.000)
O (0.690, 0.049, 0.328)
Ir (0.656, 0.500, 0.157)
Ir (0.156, 0.656, 0.500)
Ir (0.500, 0.156, 0.656)
Ir (0.344, 0.500, 0.844)
Ir (0.844, 0.344, 0.500)
Ir (0.500, 0.844, 0.344)
Ba (0.378, 0.000, 0.000)
Ba (0.622, 0.622, 0.622)
Ba (0.000, 0.000, 0.378)
Ba (0.000, 0.378, 0.000)

Results
Total energy ... -1.498 Ry/atom

=====

Entry 9:
Entry from Materials Project: an optimized crystal structure of KNaSO4 (r²SCAN).

a b c (Å): 5.562 5.562 7.140
angles (deg): 90.00 90.00 120.00
Atoms (fractional coordinates):
O (0.189, 0.378, 0.701)
O (0.622, 0.811, 0.701)
O (0.667, 0.333, 0.023)
O (0.811, 0.622, 0.301)
O (0.811, 0.189, 0.301)
O (0.189, 0.811, 0.701)
O (0.378, 0.189, 0.301)
O (0.333, 0.667, 0.978)
K (0.000, 0.000, 0.002)
K (0.333, 0.667, 0.335)
Na (0.000, 0.000, 0.502)
Na (0.667, 0.333, 0.705)
S (0.667, 0.333, 0.228)
S (0.333, 0.667, 0.775)

Results
Total energy ... -0.584 Ry/atom

=====

Entry 10:
Entry from Materials Project: an optimized crystal structure of ErBi2ClO4 (r²SCAN).

a b c (Å): 3.842 3.842 8.940
angles (deg): 90.00 90.00 90.00
Atoms (fractional coordinates):
Cl (0.000, 0.000, 0.500)
Er (0.000, 0.000, 0.000)
O (0.000, 0.500, 0.848)
O (0.500, 0.000, 0.848)
O (0.500, 0.000, 0.152)
O (0.000, 0.500, 0.152)
Bi (0.500, 0.500, 0.723)
Bi (0.500, 0.500, 0.277)

Results
Total energy ... -1.829 Ry/atom

=====

Entry 11:
Entry from Materials Project: an optimized crystal structure of TbSm (r²SCAN).

a b c (Å): 3.669 3.669 5.857
angles (deg): 90.00 90.00 120.00
Atoms (fractional coordinates):
Sm (0.000, 0.000, 0.500)
Tb (0.667, 0.333, 0.000)

Results
Total energy ... -2.240 Ry/atom

=====

Entry 12:
Entry from Materials Project: an optimized crystal structure of LiLuPd2 (r²SCAN).

a b c (Å): 4.575 4.573 4.586
angles (deg): 60.03 60.04 60.00
Atoms (fractional coordinates):
Pd (0.000, 0.000, 0.000)
Pd (0.500, 0.500, 0.500)
Lu (0.750, 0.750, 0.750)
Li (0.250, 0.250, 0.250)

Results
Total energy ... -1.643 Ry/atom

=====

Entry 13:
Entry from Materials Project: an optimized crystal structure of Mg (r²SCAN).

a b c (Å): 3.092 3.092 3.092
angles (deg): 107.15 107.15 114.21
Atoms (fractional coordinates):
Mg (0.000, 0.000, 0.000)

Results
Distance to the lowest polymorph of the same formula ... 0.038 eV/atom

=====

Entry 14:
Entry from Materials Project: an optimized crystal structure of MnAs (r²SCAN).

a b c (Å): 3.751 5.716 6.489
angles (deg): 90.00 90.00 90.00
Atoms (fractional coordinates):
Mn (0.250, 0.500, 0.250)
Mn (0.250, 0.000, 0.250)
Mn (0.750, 0.000, 0.750)
Mn (0.750, 0.500, 0.750)
As (0.750, 0.750, 0.083)
As (0.250, 0.250, 0.917)
As (0.250, 0.750, 0.583)
As (0.750, 0.250, 0.417)

Results
Total energy ... -1.118 Ry/atom

=====

Entry 15:
Entry from Materials Project: an optimized crystal structure of Sc2ZnHg (r²SCAN).

a b c (Å): 4.848 4.848 4.848
angles (deg): 60.00 60.00 60.00
Atoms (fractional coordinates):
Zn (0.000, 0.000, 0.000)
Sc (0.250, 0.250, 0.250)
Sc (0.750, 0.750, 0.750)
Hg (0.500, 0.500, 0.500)

Results
Total energy ... -1.521 Ry/atom

=====

Entry 16:
Entry from Materials Project: an optimized crystal structure of BaSi3Pd (r²SCAN).

a b c (Å): 4.430 4.430 6.002
angles (deg): 111.66 111.66 90.00
Atoms (fractional coordinates):
Si (0.001, 0.001, 0.001)
Si (0.369, 0.869, 0.738)
Si (0.869, 0.369, 0.738)
Ba (0.615, 0.615, 0.231)
Pd (0.262, 0.262, 0.525)

Results
Total energy ... -1.148 Ry/atom

=====

Entry 17:
Entry from Materials Project: an optimized crystal structure of RbCaCl3 (r²SCAN).

a b c (Å): 7.524 7.524 7.524
angles (deg): 60.72 60.72 60.72
Atoms (fractional coordinates):
Cl (0.254, 0.815, 0.696)
Cl (0.754, 0.196, 0.315)
Cl (0.815, 0.696, 0.254)
Cl (0.696, 0.254, 0.815)
Cl (0.196, 0.315, 0.754)
Cl (0.315, 0.754, 0.196)
Ca (0.506, 0.506, 0.506)
Ca (0.006, 0.006, 0.006)
Rb (0.757, 0.757, 0.757)
Rb (0.257, 0.257, 0.257)

Results
Total energy ... -0.763 Ry/atom

=====

Entry 18:
Entry from Materials Project: an optimized crystal structure of Tm3Sc (r²SCAN).

a b c (Å): 7.009 7.009 5.425
angles (deg): 90.00 90.00 120.00
Atoms (fractional coordinates):
Tm (0.169, 0.337, 0.250)
Tm (0.663, 0.831, 0.250)
Tm (0.831, 0.169, 0.750)
Tm (0.337, 0.169, 0.750)
Tm (0.831, 0.663, 0.750)
Tm (0.169, 0.831, 0.250)
Sc (0.667, 0.333, 0.250)
Sc (0.333, 0.667, 0.750)

Results
Total energy ... -2.144 Ry/atom

=====

Entry 19:
Entry from Materials Project: an optimized crystal structure of AgBiSe2 (r²SCAN).

a b c (Å): 4.172 4.172 19.755
angles (deg): 90.00 90.00 120.00
Atoms (fractional coordinates):
Se (0.667, 0.333, 0.080)
Se (0.000, 0.000, 0.746)
Se (0.333, 0.667, 0.920)
Se (0.000, 0.000, 0.254)
Se (0.333, 0.667, 0.413)
Se (0.667, 0.333, 0.587)
Bi (0.333, 0.667, 0.167)
Bi (0.667, 0.333, 0.833)
Bi (0.000, 0.000, 0.500)
Ag (0.000, 0.000, 0.000)
Ag (0.333, 0.667, 0.667)
Ag (0.667, 0.333, 0.333)

Results
Total energy ... -2.017 Ry/atom

=====

Entry 20:
Entry from Materials Project: an optimized crystal structure of EuP2Ir2 (r²SCAN).

a b c (Å): 6.689 6.689 7.090
angles (deg): 90.00 90.00 120.00
Atoms (fractional coordinates):
P (0.880, 0.220, 0.543)
P (0.340, 0.120, 0.877)
P (0.120, 0.340, 0.123)
P (0.780, 0.660, 0.210)
P (0.660, 0.780, 0.790)
P (0.220, 0.880, 0.457)
Ir (0.488, 0.488, 0.000)
Ir (0.512, 0.000, 0.667)
Ir (0.000, 0.131, 0.833)
Ir (0.000, 0.512, 0.333)
Ir (0.131, 0.000, 0.167)
Ir (0.869, 0.869, 0.500)
Eu (0.397, 0.397, 0.500)
Eu (0.000, 0.603, 0.833)
Eu (0.603, 0.000, 0.167)

Results
Total energy ... -2.450 Ry/atom